[1]
V2Cu3O8 | PBE with a Hubbard U | relaxed

extended XYZ file:
```
26
Lattice="6.292 0.000 0.000 0.000 8.039 0.000 -2.158 0.000 6.299" Properties=species:S:1:pos:R:3 pbc="T T T"
V 0.805 0.933 2.219
V -0.274 3.087 5.368
V 4.407 4.953 0.930
V 3.328 7.107 4.079
Cu 1.250 5.961 0.677
Cu 0.171 6.098 3.826
Cu 3.146 0.000 0.000
Cu 2.067 4.020 3.149
Cu 3.962 1.941 2.473
Cu 2.883 2.078 5.622
O -0.482 5.815 1.473
O -1.561 6.244 4.622
O 1.454 4.072 0.397
O 0.374 7.987 3.546
O 0.325 4.128 4.044
O 1.404 7.932 0.895
O 0.950 1.894 5.980
O 2.030 2.125 2.831
O 2.104 5.914 3.468
O 3.183 6.145 0.318
O 2.729 0.108 5.404
O 3.808 3.912 2.255
O 3.759 0.053 2.753
O 2.680 3.967 5.902
O 5.694 1.795 1.676
O 4.615 2.224 4.825
```

Results
- SG = P2_1/c, No. 14
- distance to the lowest polymorph of the same formula (eV per formula unit) = 0.08
- theoretical density (g/cm³) = 4.38
- size of the total moment (μB per formula unit) = 3.00
- ΔE_f (meV/atom) = -1649.9
- total energy (eV/atom) = -6.35

=====

[2]
Cs3MnZn3P12O36 | PBE with a Hubbard U | relaxed

extended XYZ file:
```
55
Lattice="8.200 -5.022 0.000 8.200 5.022 0.000 -7.551 0.000 9.953" Properties=species:S:1:pos:R:3 pbc="T T T"
Cs 0.000 0.000 0.000
Cs 4.394 2.883 4.987
Cs 4.394 -2.883 4.987
Mn 12.292 0.000 0.855
Zn -3.501 0.000 9.076
Zn 0.810 0.000 4.258
Zn 8.005 0.000 5.709
P 0.811 2.095 6.928
P 5.551 2.053 1.285
P -1.244 0.000 6.705
P 3.624 0.000 2.276
P 3.207 2.068 8.664
P 7.964 2.104 3.029
P 0.811 -2.095 6.928
P 5.551 -2.053 1.285
P 5.106 0.000 7.701
P 10.017 0.000 3.193
P 3.207 -2.068 8.664
P 7.964 -2.104 3.029
O 0.477 3.556 7.037
O 5.365 3.531 1.559
O -2.660 0.000 7.204
O -2.214 1.501 9.874
O -1.097 0.000 5.208
O -0.510 1.272 7.356
O 1.433 1.547 5.676
O 2.955 0.000 0.936
O 3.388 3.525 8.402
O 4.647 1.267 2.394
O 8.311 3.556 2.922
O 1.721 1.659 8.221
O 2.818 0.000 3.535
O 7.050 1.684 1.747
O -0.510 -1.272 7.356
O -2.214 -1.501 9.874
O 4.130 1.268 7.561
O 7.373 1.528 4.286
O 1.433 -1.547 5.676
O 4.647 -1.267 2.394
O 11.013 1.465 0.066
O 9.294 1.276 2.578
O 1.721 -1.659 8.221
O 6.012 0.000 6.525
O 7.050 -1.684 1.747
O 0.477 -3.556 7.037
O 4.130 -1.268 7.561
O 5.365 -3.531 1.559
O 5.725 0.000 9.106
O 7.373 -1.528 4.286
O 9.294 -1.276 2.578
O 11.437 0.000 2.624
O 11.013 -1.465 0.066
O 9.971 0.000 4.693
O 3.388 -3.525 8.402
O 8.311 -3.556 2.922
```

Results
- SG = Cm, No. 8
- theoretical density (g/cm³) = 3.24
- size of the total moment (μB per formula unit) = 4.01
- ΔE_f (meV/atom) = -2558.6
- total energy (eV/atom) = -6.78

=====

[3]
Ba2FeReO6 | PBE with a Hubbard U | relaxed

extended XYZ file:
```
10
Lattice="0.000 4.080 4.080 4.080 0.000 4.080 4.080 4.080 0.000" Properties=species:S:1:pos:R:3 pbc="T T T"
Ba 2.040 2.040 2.040
Ba 6.120 6.120 6.120
Fe 0.000 0.000 0.000
Re 4.080 4.080 4.080
O 4.080 4.080 2.096
O 4.080 2.096 4.080
O 6.064 4.080 4.080
O 2.096 4.080 4.080
O 4.080 6.064 4.080
O 4.080 4.080 6.064
```

Results
- SG = Fm-3m, No. 225
- theoretical density (g/cm³) = 7.49
- size of the total moment (μB per formula unit) = 3.00
- ΔE_f (meV/atom) = -2486.3
- total energy (eV/atom) = -7.29

=====

[4]
LiFe8O12 | PBE with a Hubbard U | relaxed

extended XYZ file:
```
42
Lattice="4.274 -4.264 0.000 4.274 4.264 0.000 -4.214 0.000 12.728" Properties=species:S:1:pos:R:3 pbc="T T T"
Li 2.167 2.138 6.364
Li 4.274 -2.138 0.000
Fe 0.025 0.048 2.066
Fe -2.082 -0.048 8.431
Fe 0.081 2.103 8.456
Fe 1.093 3.166 11.691
Fe 3.245 1.090 1.043
Fe 2.123 0.043 4.271
Fe 4.249 2.167 4.275
Fe 0.016 -0.043 10.635
Fe 1.139 -1.090 7.407
Fe 2.187 -2.103 2.092
Fe 3.235 1.073 9.556
Fe 4.309 0.007 6.386
Fe 6.416 -0.007 0.022
Fe 5.341 -1.073 3.192
Fe 2.142 -2.167 10.639
Fe 3.200 -3.166 5.327
O -0.041 2.049 10.518
O -2.023 0.063 10.620
O 0.084 -0.063 4.256
O 2.232 2.053 4.229
O 2.086 2.155 8.524
O 0.063 0.063 8.555
O 4.370 2.174 2.215
O 2.170 -0.063 2.191
O 0.147 0.003 12.634
O 4.298 2.050 6.293
O 2.254 -0.003 6.270
O 6.403 2.046 0.074
O 2.066 -2.049 4.154
O 4.212 0.079 4.326
O 0.125 -2.053 10.593
O 2.105 -0.079 10.690
O 6.407 0.085 2.063
O 4.192 -2.155 2.160
O 4.300 -0.085 8.427
O 2.264 -2.174 8.579
O 6.333 0.009 6.351
O 2.191 -2.050 12.657
O 4.226 -0.009 12.715
O 4.297 -2.046 6.438
```

Results
- SG = Cc, No. 9
- distance to the lowest polymorph of the same formula (eV per formula unit) = 0.00
- theoretical density (g/cm³) = 4.62
- size of the total moment (μB per formula unit) = 39.00
- ΔE_f (meV/atom) = -1664.7
- total energy (eV/atom) = -6.56

=====

[5]
Ba2Fe6O11 | PBE with a Hubbard U | relaxed

extended XYZ file:
```
76
Lattice="5.268 0.000 0.000 0.000 23.540 0.000 0.000 0.000 9.096" Properties=species:S:1:pos:R:3 pbc="T T T"
Ba 0.122 3.615 0.000
Ba 0.562 3.302 4.548
Ba 2.072 15.072 0.000
Ba 2.512 15.384 4.548
Ba 2.757 8.155 4.548
Ba 3.196 8.468 0.000
Ba 4.706 20.238 4.548
Ba 5.146 19.925 0.000
Fe 0.000 0.000 0.000
Fe 0.000 0.000 3.034
Fe 0.000 0.000 6.062
Fe 0.000 11.770 0.000
Fe 0.029 10.052 2.922
Fe 0.029 10.052 6.175
Fe 0.575 6.728 1.873
Fe 0.575 6.728 7.223
Fe 2.059 18.498 2.675
Fe 2.059 18.498 6.421
Fe 2.605 21.822 1.626
Fe 2.605 21.822 7.470
Fe 2.634 0.000 4.548
Fe 2.634 11.770 1.514
Fe 2.634 11.770 4.548
Fe 2.634 11.770 7.582
Fe 2.663 1.718 1.626
Fe 2.663 1.718 7.470
Fe 3.209 5.042 2.675
Fe 3.209 5.042 6.421
Fe 4.693 16.812 1.873
Fe 4.693 16.812 7.223
Fe 5.240 13.487 2.922
Fe 5.240 13.487 6.175
O 0.046 15.381 2.943
O 0.046 15.381 6.153
O 0.164 18.496 2.397
O 0.164 18.496 6.699
O 0.275 6.980 0.000
O 0.785 22.379 1.484
O 0.785 22.379 7.612
O 0.905 22.487 4.548
O 0.951 12.930 1.408
O 0.951 12.930 7.689
O 0.964 13.069 4.548
O 1.670 1.299 0.000
O 1.683 1.161 3.141
O 1.683 1.161 5.956
O 1.729 10.717 0.000
O 1.849 10.609 3.064
O 1.849 10.609 6.032
O 2.359 18.750 4.548
O 2.470 6.726 2.151
O 2.470 6.726 6.945
O 2.589 3.611 1.605
O 2.589 3.611 7.491
O 2.680 19.928 1.605
O 2.680 19.928 7.491
O 2.799 16.813 2.151
O 2.799 16.813 6.945
O 2.909 4.790 4.548
O 3.419 12.931 3.064
O 3.419 12.931 6.032
O 3.539 12.822 0.000
O 3.585 22.379 3.141
O 3.585 22.379 5.956
O 3.598 22.241 0.000
O 4.305 10.471 4.548
O 4.317 10.609 1.408
O 4.317 10.609 7.689
O 4.363 1.052 4.548
O 4.483 1.161 1.484
O 4.483 1.161 7.612
O 4.993 16.560 0.000
O 5.104 5.043 2.397
O 5.104 5.043 6.699
O 5.223 8.159 2.943
O 5.223 8.159 6.153
```

Results
- SG = Pnnm, No. 58
- theoretical density (g/cm³) = 4.63
- size of the total moment (μB per formula unit) = 30.00
- ΔE_f (meV/atom) = -1979.0
- total energy (eV/atom) = -6.61

=====

[6]
LiLuW2O8 | PBE with a Hubbard U | relaxed

extended XYZ file:
```
24
Lattice="5.071 0.000 0.000 0.000 5.900 0.000 -4.669 0.000 9.899" Properties=species:S:1:pos:R:3 pbc="T T T"
Li -1.167 1.362 2.475
Li -3.502 4.537 7.425
Lu -0.966 1.004 7.425
Lu 1.368 4.895 2.475
W 1.288 1.918 0.099
W -1.046 3.982 5.048
W 1.449 1.918 4.851
W -0.886 3.982 9.801
O -1.984 2.287 5.933
O 0.350 3.612 0.984
O 0.570 0.756 1.315
O -1.765 5.143 6.265
O -2.691 0.771 8.757
O -0.356 5.129 3.807
O -0.100 2.406 3.853
O -2.435 3.494 8.803
O 2.837 2.406 1.096
O 0.502 3.494 6.046
O 0.759 0.771 6.092
O 3.093 5.129 1.143
O 2.167 0.756 3.635
O -0.167 5.143 8.585
O 0.052 2.287 8.916
O 2.386 3.612 3.966
```

Results
- SG = P2/c, No. 13
- theoretical density (g/cm³) = 7.60
- size of the total moment (μB per formula unit) = 0.00
- ΔE_f (meV/atom) = -2682.0
- total energy (eV/atom) = -7.48